[1]
First-principles (PBE-GGA) data for an optimized crystal structure of CaRuO3, as listed in the Materials Project database.

Properties
Its space group is Pnma (62).

Lattice parameters (Å, degrees): 5.5940 7.7482 5.4289 90.00 90.00 90.00
Closest atoms and distances in Å follow each position.
Element x y z (fractional)
Ca 0.0572 0.2500 0.0143  6 O 2.32-2.59
Ca 0.4428 0.7500 0.5143  6 O 2.32-2.59
Ca 0.5572 0.2500 0.4857  6 O 2.32-2.59
Ca 0.9428 0.7500 0.9857  6 O 2.32-2.59
Ru 0.0000 0.0000 0.5000  6 O 2.01-2.03
Ru 0.0000 0.5000 0.5000  6 O 2.01-2.03
Ru 0.5000 0.0000 0.0000  6 O 2.01-2.03
Ru 0.5000 0.5000 0.0000  6 O 2.01-2.03
O 0.0272 0.7500 0.4040  2 Ru 2.01
O 0.2014 0.5493 0.8034  2 Ru 2.02-2.03
O 0.2014 0.9507 0.8034  2 Ru 2.02-2.03
O 0.2986 0.0493 0.3034  2 Ru 2.02-2.03
O 0.2986 0.4507 0.3034  2 Ru 2.02-2.03
O 0.4728 0.2500 0.9040  2 Ru 2.01
O 0.5272 0.7500 0.0960  2 Ru 2.01
O 0.7014 0.5493 0.6966  2 Ru 2.02-2.03
O 0.7014 0.9507 0.6966  2 Ru 2.02-2.03
O 0.7986 0.0493 0.1966  2 Ru 2.02-2.03
O 0.7986 0.4507 0.1966  2 Ru 2.02-2.03
O 0.9728 0.2500 0.5960  2 Ru 2.01

***

[2]
First-principles (PBE-GGA) data for an optimized crystal structure of CaRuO3, as listed in the Materials Project database.

Properties
Its total magnetization is 1.92 Bohr magnetons per cell. Its space group is Pm-3m (221).

Lattice parameters (Å, degrees): 3.9295 3.9295 3.9295 90.00 90.00 90.00
Closest atoms and distances in Å follow each position.
Element x y z (fractional)
Ca 0.0000 0.0000 0.0000  12 O 2.78
Ru 0.5000 0.5000 0.5000  6 O 1.96
O 0.0000 0.5000 0.5000  2 Ru 1.96
O 0.5000 0.0000 0.5000  2 Ru 1.96
O 0.5000 0.5000 0.0000  2 Ru 1.96

***

[3]
First-principles (PBE-GGA) data for an optimized crystal structure of SrCaRu2O6, as listed in the Materials Project database.

Properties
Its total magnetization is 8.01 Bohr magnetons per cell. Its space group is Pmc2_1 (26).

Lattice parameters (Å, degrees): 7.8558 5.5301 5.6065 90.00 90.00 90.00
Closest atoms and distances in Å follow each position.
Element x y z (fractional)
Sr 0.0000 0.2414 0.0000  6 O 2.46-2.74
Sr 0.0000 0.7586 0.5000  6 O 2.46-2.74
Ca 0.5000 0.2579 0.9111  6 O 2.36-2.63
Ca 0.5000 0.7421 0.4111  6 O 2.36-2.63
Ru 0.2545 0.2489 0.4604  6 O 1.99-2.04
Ru 0.2545 0.7511 0.9604  6 O 1.99-2.04
Ru 0.7455 0.2489 0.4604  6 O 1.99-2.04
Ru 0.7455 0.7511 0.9604  6 O 1.99-2.04
O 0.0000 0.3167 0.4532  2 Ru 2.03
O 0.0000 0.6833 0.9532  2 Ru 2.03
O 0.2191 0.0454 0.7546  2 Ru 2.01-2.02
O 0.2191 0.9546 0.2546  2 Ru 2.01-2.02
O 0.2988 0.4540 0.1666  2 Ru 2.03-2.04
O 0.2988 0.5460 0.6666  2 Ru 2.03-2.04
O 0.5000 0.1614 0.4860  2 Ru 1.99
O 0.5000 0.8386 0.9860  2 Ru 1.99
O 0.7012 0.4540 0.1666  2 Ru 2.03-2.04
O 0.7012 0.5460 0.6666  2 Ru 2.03-2.04
O 0.7809 0.0454 0.7546  2 Ru 2.01-2.02
O 0.7809 0.9546 0.2546  2 Ru 2.01-2.02

***

Number 1: raw total energy -7.04 eV/atom. Number 2: raw total energy -6.87 eV/atom. Number 3: raw total energy -6.98 eV/atom.